This record from the Materials Project database describes an optimized crystal structure of Li2V3CoO8. The functional is PBE with a Hubbard U.

As for the formation energy from the elements: -2.2590 eV/atom. As for the mass density: 4.14 Mg/m³. For the polymorph energy (0 for the lowest one), the calculation gives 168.0 meV per atom.

It has space group R-3m (No. 166, hexagonal axes), with a = 5.8543 Å, b = 5.8543 Å, c = 14.3412 Å, α = 90.00°, β = 90.00° and γ = 120.00°. The asymmetric unit holds Li at (0.0000, 0.0000, 0.1246), V at (0.0000, 0.5000, 0.0000), Co at (0.0000, 0.0000, 0.5000), O at (0.0000, 0.0000, 0.2612) and O at (0.0337, 0.5168, 0.2522).